Entry 1:
This record from the Materials Project database describes a geometry-optimized Co2P structure. The functional is GGA-PBE.

Cell and atoms, written as CIF:
```
data_Co2P
_chemical_formula_sum 'Co6 P3'
_space_group_name_H-M_alt 'P -6 2 m'
_space_group_IT_number 189
_space_group_name_Hall 'P -6 -2'
_cell_length_a 5.7263
_cell_length_b 5.7263
_cell_length_c 3.4079
_cell_angle_alpha 90.00
_cell_angle_beta 90.00
_cell_angle_gamma 120.00
loop_
_atom_site_label
_atom_site_fract_x
_atom_site_fract_y
_atom_site_fract_z
Co1 0.0000 0.2587 0.0000
Co2 0.0000 0.6018 0.5000
P1 0.0000 0.0000 0.5000
P2 0.3333 0.6667 0.0000
```

Summary:
Its uncorrected energy is -63.40 eV per cell. Its formation energy is -1.504 eV/f.u.



Entry 2:
This record from the Materials Project database describes a geometry-optimized Co2P structure. The functional is GGA-PBE.

Cell and atoms, written as CIF:
```
data_Co2P
_chemical_formula_sum 'Co8 P4'
_space_group_name_H-M_alt 'P n m a'
_space_group_IT_number 62
_cell_length_a 5.5191
_cell_length_b 3.5095
_cell_length_c 6.5912
_cell_angle_alpha 90.00
_cell_angle_beta 90.00
_cell_angle_gamma 90.00
loop_
_space_group_symop_operation_xyz
'x,y,z'
'-x,-y,-z'
'-x+1/2,-y,z+1/2'
'x+1/2,y,-z+1/2'
'x+1/2,-y+1/2,-z+1/2'
'-x+1/2,y+1/2,z+1/2'
'-x,y+1/2,-z'
'x,-y+1/2,z'
loop_
_atom_site_label
_atom_site_fract_x
_atom_site_fract_y
_atom_site_fract_z
Co1 0.0321 0.2500 0.1675
Co2 0.1444 0.2500 0.5652
P1 0.2488 0.7500 0.3786
```

Summary:
Its uncorrected energy is -84.80 eV per cell. Its formation energy is -1.570 eV/f.u.



Entry 3:
This record from the Materials Project database describes a geometry-optimized Co3P structure. The functional is GGA-PBE.

Cell and atoms, written as CIF:
```
data_Co3P
_chemical_formula_sum 'Co24 P8'
_space_group_name_H-M_alt 'I -4'
_space_group_IT_number 82
_cell_length_a 8.8834
_cell_length_b 8.8834
_cell_length_c 4.3708
_cell_angle_alpha 90.00
_cell_angle_beta 90.00
_cell_angle_gamma 90.00
loop_
_space_group_symop_operation_xyz
'x,y,z'
'y,-x,-z'
'-x,-y,z'
'-y,x,-z'
'x+1/2,y+1/2,z+1/2'
'y+1/2,-x+1/2,-z+1/2'
'-x+1/2,-y+1/2,z+1/2'
'-y+1/2,x+1/2,-z+1/2'
loop_
_atom_site_label
_atom_site_fract_x
_atom_site_fract_y
_atom_site_fract_z
Co1 0.0337 0.1367 0.2788
Co2 0.0806 0.6058 0.4825
Co3 0.1685 0.7180 0.0018
P1 0.0470 0.2086 0.7681
```

Summary:
Its uncorrected energy is -224.94 eV per cell. Its formation energy is -1.380 eV/f.u. As for the total magnetic moment: 2.906 μB per formula unit.